The following is a PBE calculation of crystalline Al4CO at its relaxed geometry, from the Materials Project database.

Unit cell a=3.2279 b=6.3798 c=5.3700 alpha=56.76 beta=107.49 gamma=120.39
Fractional positions:
Al: 0.3725 0.8717 0.0015
Al: 0.6433 0.8704 0.5457
Al: 0.2974 0.3271 0.9406
Al: 0.6837 0.4561 0.4553
C: 0.6565 0.6515 0.0098
O: 0.3467 0.0732 0.5471

Output
Energy: -5.45 eV/atom
Energy above the most stable polymorph in this dataset: 0 meV per atom
Energy of formation: -0.71 eV per atom
Volume: 79.74 Å³/cell
MP2020-corrected energy: -5.57 eV/atom
Space group: Cm

***

The following is a PBE calculation of crystalline Al4CO at its relaxed geometry, from the Materials Project database.

Unit cell a=2.9297 b=5.1232 c=5.1807 alpha=91.26 beta=91.46 gamma=90.02
Fractional positions:
Al: 0.0287 0.7826 0.6024
Al: 0.5522 0.9187 0.0860
Al: 0.5411 0.2255 0.5755
Al: 0.0442 0.4525 0.0281
C: 0.5343 0.5685 0.7769
O: 0.5470 0.2869 0.2194

Output
Energy: -5.33 eV/atom
Energy above the most stable polymorph in this dataset: 118 meV per atom
Energy of formation: -0.59 eV per atom
Volume: 77.71 Å³/cell
MP2020-corrected energy: -5.45 eV/atom
Space group: P1